The following is a GGA-PBE calculation of a geometry-optimized AlPO4 structure, from the Materials Project.

As for the total energy: -7.463 eV/atom. For the density, the calculation gives 1.816 g/cm³. The total energy after the MP2020 corrections is -7.92 eV per atom. As for the space group: No. 2.

Lattice parameters (Å, degrees): 8.857 8.885 12.908 70.15 71.33 74.91
Atoms (fractional coordinates):
Al  0.681  0.385  0.815
Al  0.978  0.263  0.058
Al  0.486  0.027  0.176
Al  0.698  0.417  0.369
Al  0.022  0.737  0.942
Al  0.319  0.615  0.185
Al  0.302  0.583  0.631
Al  0.514  0.973  0.824
O  0.502  0.199  0.206
O  0.173  0.504  0.202
O  0.077  0.060  0.072
O  0.671  0.958  0.087
O  0.288  0.806  0.088
O  0.766  0.299  0.100
O  0.712  0.194  0.912
O  0.051  0.332  0.143
O  0.489  0.502  0.858
O  0.923  0.940  0.928
O  0.886  0.473  0.293
O  0.693  0.351  0.686
O  0.827  0.496  0.798
O  0.114  0.527  0.707
O  0.234  0.701  0.900
O  0.635  0.311  0.302
O  0.964  0.634  0.087
O  0.342  0.066  0.100
O  0.658  0.934  0.900
O  0.511  0.498  0.142
O  0.296  0.706  0.493
O  0.329  0.042  0.913
O  0.704  0.294  0.507
O  0.365  0.689  0.698
O  0.428  0.883  0.306
O  0.436  0.401  0.624
O  0.572  0.117  0.694
O  0.498  0.801  0.794
O  0.036  0.366  0.913
O  0.307  0.649  0.314
O  0.564  0.599  0.376
O  0.949  0.668  0.857
P  0.260  0.992  0.044
P  0.396  0.673  0.813
P  0.399  0.709  0.372
P  0.981  0.513  0.819
P  0.740  0.008  0.956
P  0.604  0.327  0.187
P  0.601  0.291  0.628
P  0.019  0.487  0.181



The following is a GGA-PBE calculation of a geometry-optimized KO3 structure, from the Materials Project.

As for the total energy: -4.645 eV/atom. For the density, the calculation gives 2.049 g/cm³. As for the space group: No. 140.

Lattice parameters (Å, degrees): 7.218 7.218 7.218 104.54 104.54 119.86
Atoms (fractional coordinates):
O  0.751  0.566  0.317
O  0.934  0.749  0.683
O  0.566  0.249  0.816
O  0.719  0.219  0.937
O  0.219  0.281  0.500
O  0.281  0.781  0.063
O  0.434  0.751  0.184
O  0.249  0.434  0.683
O  0.749  0.066  0.816
O  0.251  0.934  0.184
O  0.066  0.251  0.317
O  0.781  0.719  0.500
K  0.750  0.250  0.500
K  0.250  0.250  0.000
K  0.250  0.750  0.500
K  0.750  0.750  0.000



The following is a GGA-PBE calculation of a geometry-optimized Ba5In3F19 structure, from the Materials Project.

As for the total energy: -5.279 eV/atom. For the density, the calculation gives 5.034 g/cm³. The total energy after the MP2020 corrections is -5.60 eV per atom. As for the space group: No. 78.

Lattice parameters (Å, degrees): 15.250 15.250 15.797 90.00 90.00 90.00
Atoms (fractional coordinates):
F  0.548  0.898  0.906
F  0.624  0.041  0.404
F  0.442  0.701  0.672
F  0.729  0.398  0.354
F  0.973  0.425  0.007
F  0.098  0.097  0.003
F  0.142  0.573  0.161
F  0.427  0.142  0.911
F  0.894  0.965  0.253
F  0.773  0.718  0.236
F  0.098  0.566  0.848
F  0.560  0.292  0.856
F  0.815  0.922  0.680
F  0.434  0.098  0.598
F  0.376  0.959  0.904
F  0.777  0.736  0.022
F  0.199  0.930  0.085
F  0.894  0.248  0.405
F  0.597  0.601  0.760
F  0.733  0.247  0.990
F  0.858  0.427  0.661
F  0.651  0.644  0.362
F  0.097  0.902  0.253
F  0.273  0.111  0.319
F  0.078  0.815  0.430
F  0.356  0.651  0.112
F  0.951  0.427  0.508
F  0.424  0.319  0.044
F  0.786  0.067  0.912
F  0.080  0.285  0.323
F  0.067  0.214  0.162
F  0.382  0.945  0.096
F  0.573  0.858  0.411
F  0.565  0.200  0.694
F  0.138  0.866  0.659
F  0.965  0.106  0.503
F  0.292  0.440  0.106
F  0.902  0.903  0.503
F  0.800  0.565  0.444
F  0.349  0.356  0.862
F  0.708  0.560  0.606
F  0.254  0.757  0.252
F  0.106  0.752  0.905
F  0.866  0.862  0.909
F  0.396  0.896  0.368
F  0.043  0.469  0.260
F  0.264  0.777  0.772
F  0.248  0.106  0.655
F  0.267  0.753  0.490
F  0.376  0.256  0.427
F  0.715  0.080  0.073
F  0.624  0.744  0.927
F  0.718  0.227  0.486
F  0.801  0.070  0.585
F  0.439  0.719  0.854
F  0.873  0.410  0.862
F  0.604  0.104  0.868
F  0.757  0.746  0.502
F  0.618  0.055  0.596
F  0.896  0.604  0.618
F  0.405  0.541  0.758
F  0.243  0.254  0.002
F  0.602  0.729  0.104
F  0.491  0.612  0.225
F  0.026  0.103  0.280
F  0.227  0.282  0.736
F  0.879  0.254  0.581
F  0.644  0.349  0.612
F  0.752  0.894  0.155
F  0.566  0.902  0.098
F  0.897  0.026  0.030
F  0.440  0.708  0.356
F  0.070  0.199  0.835
F  0.889  0.273  0.069
F  0.459  0.405  0.508
F  0.612  0.509  0.475
F  0.223  0.264  0.522
F  0.049  0.573  0.008
F  0.922  0.185  0.930
F  0.974  0.897  0.780
F  0.285  0.920  0.573
F  0.727  0.889  0.819
F  0.282  0.773  0.986
F  0.271  0.602  0.854
F  0.127  0.590  0.362
F  0.185  0.078  0.180
F  0.898  0.452  0.156
F  0.114  0.426  0.433
F  0.247  0.267  0.240
F  0.452  0.102  0.406
F  0.425  0.027  0.257
F  0.746  0.879  0.331
F  0.299  0.442  0.422
F  0.254  0.121  0.831
F  0.575  0.973  0.757
F  0.862  0.134  0.159
F  0.041  0.376  0.654
F  0.214  0.933  0.412
F  0.920  0.715  0.823
F  0.903  0.098  0.753
F  0.744  0.376  0.177
F  0.719  0.561  0.104
F  0.427  0.049  0.758
F  0.102  0.548  0.656
F  0.410  0.127  0.112
F  0.561  0.281  0.354
F  0.134  0.138  0.409
F  0.590  0.873  0.612
F  0.319  0.576  0.294
F  0.576  0.681  0.544
F  0.902  0.434  0.348
F  0.426  0.886  0.683
F  0.701  0.558  0.922
F  0.106  0.035  0.753
F  0.933  0.786  0.662
F  0.399  0.597  0.510
F  0.403  0.399  0.260
F  0.200  0.435  0.944
F  0.469  0.957  0.510
F  0.959  0.624  0.154
F  0.104  0.396  0.118
F  0.736  0.223  0.272
F  0.027  0.575  0.507
F  0.435  0.800  0.194
F  0.814  0.059  0.402
F  0.111  0.727  0.569
F  0.121  0.746  0.081
F  0.541  0.595  0.008
F  0.531  0.043  0.010
F  0.256  0.624  0.677
F  0.398  0.271  0.604
F  0.601  0.403  0.010
F  0.681  0.424  0.794
F  0.941  0.814  0.152
F  0.103  0.974  0.530
F  0.558  0.299  0.172
F  0.886  0.574  0.933
F  0.574  0.114  0.183
F  0.753  0.733  0.740
F  0.595  0.459  0.258
F  0.746  0.243  0.752
F  0.388  0.491  0.975
F  0.055  0.382  0.846
F  0.930  0.801  0.335
F  0.509  0.388  0.725
F  0.035  0.894  0.003
F  0.186  0.941  0.902
F  0.059  0.186  0.652
F  0.281  0.439  0.604
F  0.573  0.951  0.258
F  0.957  0.531  0.760
F  0.945  0.618  0.346
Ba  0.469  0.513  0.374
Ba  0.924  0.276  0.753
Ba  0.917  0.283  0.238
Ba  0.586  0.782  0.764
Ba  0.010  0.974  0.388
Ba  0.790  0.544  0.266
Ba  0.270  0.947  0.748
Ba  0.076  0.724  0.253
Ba  0.218  0.586  0.514
Ba  0.065  0.271  0.001
Ba  0.724  0.924  0.503
Ba  0.435  0.782  0.512
Ba  0.283  0.083  0.488
Ba  0.053  0.270  0.498
Ba  0.603  0.776  0.261
Ba  0.276  0.076  0.003
Ba  0.717  0.917  0.988
Ba  0.414  0.218  0.264
Ba  0.776  0.397  0.511
Ba  0.990  0.026  0.888
Ba  0.026  0.010  0.138
Ba  0.487  0.469  0.124
Ba  0.513  0.531  0.624
Ba  0.730  0.053  0.248
Ba  0.974  0.990  0.638
Ba  0.782  0.414  0.014
Ba  0.782  0.565  0.762
Ba  0.565  0.218  0.012
Ba  0.210  0.456  0.766
Ba  0.218  0.435  0.262
Ba  0.456  0.790  0.016
Ba  0.935  0.729  0.501
Ba  0.544  0.210  0.516
Ba  0.224  0.603  0.011
Ba  0.947  0.730  0.998
Ba  0.083  0.717  0.738
Ba  0.271  0.935  0.251
Ba  0.397  0.224  0.761
Ba  0.729  0.065  0.751
Ba  0.531  0.487  0.874
In  0.174  0.851  0.524
In  0.851  0.826  0.774
In  0.159  0.163  0.741
In  0.628  0.312  0.740
In  0.505  0.978  0.375
In  0.494  0.012  0.139
In  0.495  0.022  0.875
In  0.978  0.495  0.625
In  0.688  0.628  0.490
In  0.826  0.149  0.024
In  0.837  0.159  0.491
In  0.372  0.688  0.240
In  0.988  0.494  0.889
In  0.652  0.330  0.266
In  0.330  0.348  0.516
In  0.312  0.372  0.990
In  0.012  0.506  0.389
In  0.670  0.652  0.016
In  0.506  0.988  0.639
In  0.841  0.837  0.241
In  0.163  0.841  0.991
In  0.149  0.174  0.274
In  0.022  0.505  0.125
In  0.348  0.670  0.766